The following is a DFT calculation (meta-GGA r2SCAN) of a relaxed structure of Tl3PSe4.

Cell lengths 9.2528, 11.1891, 9.4585 Å; angles 90.00, 90.00, 90.00 degrees
Space group Pnma (No. 62)
Asymmetric unit:
Tl  0.0630  0.0510  0.1948 (multiplicity 8)
Tl  0.1045  0.7500  0.3898 (multiplicity 4)
P  0.2193  0.7500  0.9719 (multiplicity 4)
Se  0.0009  0.7500  0.0665 (multiplicity 4)
Se  0.1594  0.0881  0.5331 (multiplicity 8)
Se  0.1937  0.7500  0.7374 (multiplicity 4)

## Properties
* calculated volume: 244.8 Å³/f.u.
* raw total energy: -28.644 eV/atom
* crystal system: orthorhombic
* E_form: -0.42 eV/atom

The following is a DFT calculation (meta-GGA r2SCAN) of a relaxed structure of U3P2Se.

Cell lengths 3.9935, 5.7766, 12.5768 Å; angles 90.00, 90.00, 90.00 degrees
Space group Immm (No. 71)
Asymmetric unit:
U  0.0000  0.0000  0.0000 (multiplicity 2)
U  0.0000  0.0000  0.3241 (multiplicity 4)
P  0.0000  0.5000  0.3361 (multiplicity 4)
Se  0.0000  0.5000  0.0000 (multiplicity 2)

## Properties
* calculated volume: 145.1 Å³/f.u.
* raw total energy: -46.700 eV/atom
* crystal system: orthorhombic
* E_form: -1.34 eV/atom

The following is a DFT calculation (meta-GGA r2SCAN) of a relaxed structure of U5P3Se2.

Cell lengths 6.8384, 20.7536, 7.1941 Å; angles 90.00, 111.14, 90.00 degrees
Space group C2/c (No. 15)
Asymmetric unit:
U  0.2401  0.0533  0.9999 (multiplicity 8)
U  0.2432  0.1469  0.4933 (multiplicity 8)
U  0.2500  0.2500  0.0000 (multiplicity 4)
P  0.0000  0.0476  0.2500 (multiplicity 4)
P  0.0000  0.1515  0.7500 (multiplicity 4)
P  0.0000  0.3493  0.7500 (multiplicity 4)
Se  0.0000  0.2515  0.2500 (multiplicity 4)
Se  0.0000  0.4520  0.2500 (multiplicity 4)

## Properties
* calculated volume: 238.1 Å³/f.u.
* raw total energy: -46.951 eV/atom
* crystal system: monoclinic
* E_form: -1.42 eV/atom

The following is a DFT calculation (meta-GGA r2SCAN) of a relaxed structure of SiP.

Cell lengths 3.5223, 20.5209, 14.4121 Å; angles 90.00, 90.00, 90.00 degrees
Space group Cmc2_1 (No. 36)
Asymmetric unit:
Si  0.0000  0.0593  0.0000 (multiplicity 4)
Si  0.0000  0.1702  0.9599 (multiplicity 4)
Si  0.0000  0.2026  0.3914 (multiplicity 4)
Si  0.0000  0.2056  0.5536 (multiplicity 4)
Si  0.0000  0.4321  0.0682 (multiplicity 4)
Si  0.0000  0.4351  0.9059 (multiplicity 4)
P  0.0000  0.0012  0.3660 (multiplicity 4)
P  0.0000  0.1144  0.6412 (multiplicity 4)
P  0.0000  0.2308  0.0936 (multiplicity 4)
P  0.0000  0.3110  0.3636 (multiplicity 4)
P  0.0000  0.3438  0.8184 (multiplicity 4)
P  0.0000  0.4596  0.5963 (multiplicity 4)

## Properties
* calculated volume: 43.4 Å³/f.u.
* raw total energy: -9.058 eV/atom
* crystal system: orthorhombic
* E_form: -0.17 eV/atom

The following is a DFT calculation (meta-GGA r2SCAN) of a relaxed structure of ZnSiP2.

Cell lengths 5.3734, 5.3734, 10.4601 Å; angles 90.00, 90.00, 90.00 degrees
Space group I-42d (No. 122)
Asymmetric unit:
Zn  0.0000  0.0000  0.0000 (multiplicity 4)
Si  0.0000  0.0000  0.5000 (multiplicity 4)
P  0.2327  0.2500  0.6250 (multiplicity 8)

## Properties
* calculated volume: 75.5 Å³/f.u.
* raw total energy: -9.314 eV/atom
* crystal system: tetragonal
* E_form: -0.39 eV/atom

The following is a DFT calculation (meta-GGA r2SCAN) of a relaxed structure of SnP3.

Cell lengths 7.3785, 7.3785, 10.8335 Å; angles 90.00, 90.00, 120.00 degrees
Space group R-3m (No. 166, hexagonal axes)
Asymmetric unit:
Sn  0.0000  0.0000  0.2459 (multiplicity 6)
P  0.0266  0.5133  0.2142 (multiplicity 18)

## Properties
* calculated volume: 85.1 Å³/f.u.
* raw total energy: -12.945 eV/atom
* crystal system: trigonal
* E_form: -0.01 eV/atom

The following is a DFT calculation (meta-GGA r2SCAN) of a relaxed structure of SrSnP.

Cell lengths 4.3812, 4.3812, 8.9822 Å; angles 90.00, 90.00, 90.00 degrees
Space group P4/nmm (No. 129, origin choice 2)
Asymmetric unit:
Sr  0.2500  0.2500  0.1675 (multiplicity 2)
Sn  0.2500  0.2500  0.5526 (multiplicity 2)
P  0.2500  0.2500  0.8261 (multiplicity 2)

## Properties
* calculated volume: 86.2 Å³/f.u.
* raw total energy: -17.148 eV/atom
* crystal system: tetragonal
* E_form: -0.85 eV/atom

The following is a DFT calculation (meta-GGA r2SCAN) of a relaxed structure of Sr3Sn2P4.

Cell lengths 25.3020, 12.6738, 18.8306 Å; angles 90.00, 90.00, 90.00 degrees
Space group Cmce (No. 64)
Asymmetric unit:
Sr  0.0000  0.0000  0.0000 (multiplicity 4)
Sr  0.0000  0.0000  0.5000 (multiplicity 4)
Sr  0.0000  0.0641  0.2290 (multiplicity 8)
Sr  0.0829  0.2100  0.8682 (multiplicity 16)
Sr  0.1687  0.0495  0.2406 (multiplicity 16)
Sr  0.1754  0.0000  0.0000 (multiplicity 8)
Sr  0.2443  0.2101  0.6274 (multiplicity 16)
Sn  0.0822  0.2099  0.0649 (multiplicity 16)
Sn  0.0852  0.1496  0.6781 (multiplicity 16)
Sn  0.1621  0.0654  0.4394 (multiplicity 16)
P  0.0000  0.1842  0.7497 (multiplicity 8)
P  0.0000  0.2490  0.9883 (multiplicity 8)
P  0.0779  0.0412  0.3646 (multiplicity 16)
P  0.0870  0.0298  0.1154 (multiplicity 16)
P  0.1639  0.1992  0.7511 (multiplicity 16)
P  0.1648  0.2466  0.9898 (multiplicity 16)
P  0.2455  0.0407  0.3737 (multiplicity 16)

## Properties
* calculated volume: 251.6 Å³/f.u.
* raw total energy: -15.458 eV/atom
* crystal system: orthorhombic
* E_form: -0.91 eV/atom

The following is a DFT calculation (meta-GGA r2SCAN) of a relaxed structure of Zr5Sn3P.

Cell lengths 8.6045, 8.6045, 5.9436 Å; angles 90.00, 90.00, 120.00 degrees
Space group P6_3/mcm (No. 193)
Asymmetric unit:
Zr  0.0000  0.2508  0.2500 (multiplicity 6)
Zr  0.3333  0.6667  0.0000 (multiplicity 4)
Sn  0.0000  0.3991  0.7500 (multiplicity 6)
P  0.0000  0.0000  0.0000 (multiplicity 2)

## Properties
* calculated volume: 190.5 Å³/f.u.
* raw total energy: -22.815 eV/atom
* crystal system: hexagonal
* E_form: -0.93 eV/atom

The following is a DFT calculation (meta-GGA r2SCAN) of a relaxed structure of SrP2.

Cell lengths 6.1540, 11.9439, 7.4893 Å; angles 90.00, 126.74, 90.00 degrees
Space group P2_1/c (No. 14)
Asymmetric unit:
Sr  0.0000  0.0000  0.0000 (multiplicity 2)
Sr  0.2887  0.1662  0.6851 (multiplicity 4)
P  0.1635  0.6934  0.3346 (multiplicity 4)
P  0.2931  0.6319  0.9362 (multiplicity 4)
P  0.4311  0.6020  0.2839 (multiplicity 4)

## Properties
* calculated volume: 73.5 Å³/f.u.
* raw total energy: -11.971 eV/atom
* crystal system: monoclinic
* E_form: -0.92 eV/atom

The following is a DFT calculation (meta-GGA r2SCAN) of a relaxed structure of Sr3P2.

Cell lengths 9.3552, 9.3552, 27.9264 Å; angles 90.00, 90.00, 90.00 degrees
Space group I-42d (No. 122)
Asymmetric unit:
Sr  0.0601  0.1904  0.0648 (multiplicity 16)
Sr  0.0680  0.1922  0.3898 (multiplicity 16)
Sr  0.0816  0.1629  0.7309 (multiplicity 16)
P  0.0000  0.0000  0.1629 (multiplicity 8)
P  0.1210  0.2500  0.6250 (multiplicity 8)
P  0.1479  0.2387  0.2874 (multiplicity 16)

## Properties
* calculated volume: 152.8 Å³/f.u.
* raw total energy: -13.905 eV/atom
* crystal system: tetragonal
* E_form: -1.22 eV/atom